1.
This record from the Materials Project describes a geometry-optimized LiVP2O7 structure. The functional is GGA+U.

Properties
For the energy with MP2020 corrections, the calculation gives -343.77 eV for the cell shown. As for the formation enthalpy at 0 K: -2.681 eV/atom.

abc: 6.536 8.405 9.076
angles: 90.01 102.75 90.14
Positions (direct):
Li (0.000, 0.000, 0.000)
Li (0.001, 0.603, 0.500)
Li (0.499, 0.500, 0.000)
Li (0.501, 0.103, 0.499)
V (0.482, 0.125, 0.010)
V (0.482, 0.479, 0.510)
V (0.981, 0.979, 0.511)
V (0.982, 0.625, 0.010)
P (0.197, 0.299, 0.711)
P (0.197, 0.305, 0.210)
P (0.263, 0.795, 0.307)
P (0.263, 0.809, 0.806)
P (0.698, 0.799, 0.711)
P (0.698, 0.805, 0.210)
P (0.762, 0.310, 0.806)
P (0.763, 0.295, 0.306)
O (0.111, 0.800, 0.651)
O (0.112, 0.803, 0.151)
O (0.175, 0.146, 0.617)
O (0.178, 0.458, 0.116)
O (0.228, 0.158, 0.116)
O (0.228, 0.445, 0.617)
O (0.250, 0.658, 0.900)
O (0.253, 0.945, 0.401)
O (0.255, 0.640, 0.395)
O (0.255, 0.964, 0.895)
O (0.364, 0.292, 0.859)
O (0.364, 0.312, 0.359)
O (0.488, 0.821, 0.767)
O (0.489, 0.781, 0.267)
O (0.611, 0.301, 0.650)
O (0.611, 0.303, 0.150)
O (0.677, 0.957, 0.116)
O (0.678, 0.646, 0.617)
O (0.729, 0.658, 0.117)
O (0.729, 0.946, 0.617)
O (0.750, 0.159, 0.900)
O (0.751, 0.445, 0.400)
O (0.754, 0.140, 0.395)
O (0.754, 0.464, 0.895)
O (0.864, 0.792, 0.860)
O (0.865, 0.813, 0.359)
O (0.987, 0.322, 0.767)
O (0.988, 0.283, 0.266)

---

2.
This record from the Materials Project describes a geometry-optimized Li7V3P8O29 structure. The functional is GGA+U.

Properties
For the energy with MP2020 corrections, the calculation gives -706.92 eV for the cell shown. As for the formation enthalpy at 0 K: -2.682 eV/atom. The offset from the most stable computed form is 11 meV/atom.

abc: 9.835 9.853 13.932
angles: 89.69 89.57 60.07
Positions (direct):
Li (0.000, 0.000, 0.000)
Li (0.003, 0.561, 0.496)
Li (0.148, 0.159, 0.920)
Li (0.177, 0.161, 0.455)
Li (0.191, 0.464, 0.874)
Li (0.195, 0.894, 0.372)
Li (0.329, 0.325, 0.369)
Li (0.424, 0.139, 0.000)
Li (0.428, 0.576, 0.549)
Li (0.748, 0.341, 0.884)
Li (0.766, 0.891, 0.821)
Li (0.784, 0.455, 0.373)
Li (0.862, 0.558, 0.998)
Li (0.865, 0.133, 0.493)
V (0.097, 0.668, 0.689)
V (0.097, 0.799, 0.183)
V (0.529, 0.802, 0.685)
V (0.531, 0.231, 0.185)
V (0.656, 0.671, 0.187)
V (0.661, 0.232, 0.681)
P (0.007, 0.551, 0.277)
P (0.182, 0.463, 0.092)
P (0.188, 0.918, 0.596)
P (0.321, 0.322, 0.588)
P (0.322, 0.924, 0.091)
P (0.403, 0.007, 0.279)
P (0.410, 0.142, 0.776)
P (0.429, 0.568, 0.307)
P (0.440, 0.561, 0.807)
P (0.765, 0.895, 0.063)
P (0.765, 0.897, 0.562)
P (0.780, 0.461, 0.591)
P (0.784, 0.321, 0.095)
P (0.866, 0.548, 0.779)
P (0.870, 0.141, 0.277)
P (0.999, 0.010, 0.781)
O (0.004, 0.706, 0.264)
O (0.017, 0.559, 0.779)
O (0.019, 0.974, 0.273)
O (0.084, 0.011, 0.870)
O (0.091, 0.444, 0.184)
O (0.091, 0.474, 0.002)
O (0.092, 0.021, 0.688)
O (0.096, 0.462, 0.366)
O (0.098, 0.008, 0.507)
O (0.178, 0.486, 0.594)
O (0.181, 0.894, 0.091)
O (0.189, 0.614, 0.109)
O (0.207, 0.753, 0.605)
O (0.284, 0.566, 0.781)
O (0.287, 0.721, 0.266)
O (0.297, 0.026, 0.186)
O (0.308, 0.006, 0.364)
O (0.309, 0.231, 0.682)
O (0.310, 0.026, 0.008)
O (0.317, 0.238, 0.500)
O (0.319, 0.232, 0.864)
O (0.345, 0.318, 0.091)
O (0.349, 0.904, 0.598)
O (0.420, 0.422, 0.276)
O (0.424, 0.150, 0.277)
O (0.431, 0.581, 0.416)
O (0.433, 0.978, 0.775)
O (0.438, 0.707, 0.760)
O (0.473, 0.333, 0.597)
O (0.479, 0.770, 0.100)
O (0.486, 0.533, 0.910)
O (0.561, 0.853, 0.265)
O (0.573, 0.132, 0.767)
O (0.577, 0.416, 0.750)
O (0.585, 0.556, 0.265)
O (0.610, 0.042, 0.093)
O (0.615, 0.607, 0.602)
O (0.620, 0.895, 0.610)
O (0.627, 0.328, 0.106)
O (0.723, 0.132, 0.265)
O (0.723, 0.714, 0.766)
O (0.759, 0.913, 0.456)
O (0.764, 0.047, 0.608)
O (0.765, 0.312, 0.588)
O (0.765, 0.486, 0.098)
O (0.773, 0.745, 0.109)
O (0.780, 0.876, 0.955)
O (0.836, 0.160, 0.777)
O (0.840, 0.573, 0.279)
O (0.856, 0.463, 0.867)
O (0.869, 0.466, 0.503)
O (0.875, 0.224, 0.367)
O (0.875, 0.234, 0.005)
O (0.880, 0.445, 0.685)
O (0.893, 0.231, 0.187)
O (0.910, 0.908, 0.101)
O (0.912, 0.748, 0.599)
O (0.980, 0.865, 0.770)

---

3.
This record from the Materials Project describes a geometry-optimized Li3VP2O8 structure. The functional is GGA+U.

Properties
For the energy with MP2020 corrections, the calculation gives -206.23 eV for the cell shown. As for the formation enthalpy at 0 K: -2.707 eV/atom. The offset from the most stable computed form is 2 meV/atom.

abc: 4.696 5.154 13.604
angles: 97.71 90.03 117.06
Positions (direct):
Li (0.000, 0.000, 0.000)
Li (0.062, 0.999, 0.500)
Li (0.336, 0.672, 0.818)
Li (0.399, 0.672, 0.318)
Li (0.654, 0.336, 0.909)
Li (0.744, 0.335, 0.409)
V (0.699, 0.335, 0.659)
V (0.700, 0.336, 0.159)
P (0.023, 0.021, 0.774)
P (0.060, 0.021, 0.274)
P (0.339, 0.650, 0.044)
P (0.375, 0.650, 0.543)
O (0.042, 0.711, 0.245)
O (0.142, 0.562, 0.627)
O (0.196, 0.655, 0.449)
O (0.203, 0.014, 0.868)
O (0.254, 0.107, 0.690)
O (0.358, 0.960, 0.073)
O (0.424, 0.255, 0.291)
O (0.483, 0.562, 0.128)
O (0.505, 0.415, 0.526)
O (0.525, 0.656, 0.949)
O (0.665, 0.960, 0.573)
O (0.732, 0.711, 0.745)
O (0.873, 0.014, 0.368)
O (0.895, 0.257, 0.792)
O (0.917, 0.108, 0.190)
O (0.976, 0.415, 0.026)

---

4.
This record from the Materials Project describes a geometry-optimized LiVP4O12 structure. The functional is GGA+U.

Properties
For the energy with MP2020 corrections, the calculation gives -277.73 eV for the cell shown. As for the formation enthalpy at 0 K: -2.602 eV/atom. The offset from the most stable computed form is 70 meV/atom.

abc: 7.287 8.479 7.774
angles: 90.00 93.29 90.00
Positions (direct):
Li (0.242, 0.000, 0.143)
Li (0.758, 0.500, 0.857)
V (0.243, 0.800, 0.668)
V (0.757, 0.300, 0.332)
P (0.131, 0.430, 0.556)
P (0.148, 0.374, 0.193)
P (0.413, 0.594, 0.026)
P (0.435, 0.184, 0.626)
P (0.565, 0.684, 0.374)
P (0.587, 0.094, 0.974)
P (0.852, 0.874, 0.807)
P (0.869, 0.930, 0.444)
O (0.049, 0.841, 0.465)
O (0.059, 0.888, 0.837)
O (0.120, 0.581, 0.655)
O (0.209, 0.466, 0.372)
O (0.228, 0.495, 0.057)
O (0.234, 0.216, 0.195)
O (0.286, 0.323, 0.654)
O (0.339, 0.028, 0.619)
O (0.364, 0.701, 0.878)
O (0.424, 0.991, 0.984)
O (0.435, 0.704, 0.199)
O (0.450, 0.727, 0.519)
O (0.550, 0.227, 0.481)
O (0.565, 0.204, 0.801)
O (0.576, 0.491, 0.016)
O (0.636, 0.201, 0.122)
O (0.661, 0.528, 0.381)
O (0.714, 0.823, 0.346)
O (0.766, 0.716, 0.805)
O (0.772, 0.995, 0.943)
O (0.791, 0.966, 0.628)
O (0.880, 0.081, 0.345)
O (0.941, 0.388, 0.163)
O (0.951, 0.341, 0.535)

---

5.
This record from the Materials Project describes a geometry-optimized Li7V3P8O29 structure. The functional is GGA+U.

Properties
For the energy with MP2020 corrections, the calculation gives -707.09 eV for the cell shown. As for the formation enthalpy at 0 K: -2.684 eV/atom. The offset from the most stable computed form is 9 meV/atom.

abc: 9.859 9.867 13.887
angles: 90.29 90.02 119.80
Positions (direct):
Li (0.000, 0.000, 0.000)
Li (0.001, 0.431, 0.444)
Li (0.019, 0.574, 0.943)
Li (0.101, 0.757, 0.323)
Li (0.108, 0.353, 0.821)
Li (0.242, 0.338, 0.322)
Li (0.247, 0.891, 0.821)
Li (0.366, 0.645, 0.392)
Li (0.432, 0.439, 0.942)
Li (0.438, 0.003, 0.444)
Li (0.561, 0.986, 0.946)
Li (0.652, 0.755, 0.817)
Li (0.662, 0.901, 0.322)
Li (0.996, 0.990, 0.503)
V (0.336, 0.233, 0.136)
V (0.337, 0.102, 0.633)
V (0.765, 0.663, 0.631)
V (0.768, 0.099, 0.136)
V (0.896, 0.232, 0.635)
V (0.896, 0.665, 0.136)
P (0.001, 0.001, 0.756)
P (0.002, 0.998, 0.260)
P (0.015, 0.579, 0.727)
P (0.019, 0.437, 0.227)
P (0.104, 0.343, 0.042)
P (0.109, 0.756, 0.541)
P (0.242, 0.350, 0.539)
P (0.242, 0.896, 0.041)
P (0.419, 0.980, 0.227)
P (0.420, 0.434, 0.725)
P (0.558, 0.584, 0.225)
P (0.566, 0.986, 0.727)
P (0.650, 0.892, 0.542)
P (0.654, 0.754, 0.038)
P (0.666, 0.328, 0.511)
P (0.667, 0.334, 0.012)
O (0.002, 0.417, 0.725)
O (0.003, 0.152, 0.716)
O (0.003, 0.585, 0.225)
O (0.010, 0.995, 0.368)
O (0.011, 0.009, 0.865)
O (0.011, 0.853, 0.217)
O (0.077, 0.329, 0.541)
O (0.080, 0.747, 0.040)
O (0.089, 0.420, 0.953)
O (0.099, 0.670, 0.816)
O (0.107, 0.664, 0.453)
O (0.113, 0.442, 0.316)
O (0.124, 0.453, 0.133)
O (0.126, 0.670, 0.634)
O (0.148, 0.153, 0.221)
O (0.149, 0.998, 0.715)
O (0.218, 0.039, 0.059)
O (0.229, 0.187, 0.552)
O (0.256, 0.332, 0.042)
O (0.258, 0.920, 0.541)
O (0.325, 0.436, 0.450)
O (0.328, 0.417, 0.815)
O (0.328, 0.452, 0.633)
O (0.329, 0.897, 0.316)
O (0.330, 0.876, 0.133)
O (0.336, 0.914, 0.952)
O (0.417, 0.001, 0.726)
O (0.418, 0.414, 0.225)
O (0.423, 0.138, 0.211)
O (0.430, 0.285, 0.707)
O (0.517, 0.335, 0.053)
O (0.519, 0.174, 0.552)
O (0.541, 0.655, 0.124)
O (0.541, 0.676, 0.306)
O (0.545, 0.878, 0.634)
O (0.562, 0.895, 0.452)
O (0.575, 0.906, 0.817)
O (0.579, 0.581, 0.726)
O (0.581, 0.998, 0.227)
O (0.585, 0.663, 0.946)
O (0.663, 0.470, 0.552)
O (0.663, 0.913, 0.039)
O (0.666, 0.185, 0.049)
O (0.670, 0.312, 0.404)
O (0.671, 0.750, 0.542)
O (0.677, 0.351, 0.905)
O (0.713, 0.145, 0.712)
O (0.717, 0.588, 0.221)
O (0.813, 0.042, 0.553)
O (0.814, 0.485, 0.060)
O (0.819, 0.330, 0.554)
O (0.821, 0.780, 0.059)
O (0.848, 0.988, 0.224)
O (0.850, 0.855, 0.720)
O (0.857, 0.568, 0.711)
O (0.863, 0.289, 0.217)
O (0.966, 0.176, 0.057)
O (0.967, 0.778, 0.550)

---

6.
This record from the Materials Project describes a geometry-optimized LiVP2O8 structure. The functional is GGA+U.

Properties
For the energy with MP2020 corrections, the calculation gives -275.05 eV for the cell shown. As for the formation enthalpy at 0 K: -2.523 eV/atom. The offset from the most stable computed form is 29 meV/atom.

abc: 7.407 8.491 8.500
angles: 119.52 91.12 90.05
Positions (direct):
Li (0.000, 0.000, 0.000)
Li (0.015, 0.653, 0.314)
Li (0.103, 0.321, 0.459)
V (0.429, 0.994, 0.994)
V (0.509, 0.335, 0.672)
V (0.586, 0.672, 0.335)
P (0.285, 0.970, 0.342)
P (0.286, 0.372, 0.024)
P (0.289, 0.652, 0.625)
P (0.727, 0.013, 0.709)
P (0.728, 0.297, 0.311)
P (0.728, 0.695, 0.989)
O (0.114, 0.473, 0.072)
O (0.120, 0.895, 0.381)
O (0.122, 0.576, 0.508)
O (0.262, 0.837, 0.800)
O (0.271, 0.969, 0.157)
O (0.275, 0.192, 0.033)
O (0.326, 0.174, 0.481)
O (0.357, 0.520, 0.691)
O (0.359, 0.312, 0.832)
O (0.444, 0.494, 0.155)
O (0.446, 0.670, 0.514)
O (0.458, 0.860, 0.339)
O (0.559, 0.811, 0.994)
O (0.562, 0.995, 0.814)
O (0.584, 0.170, 0.170)
O (0.645, 0.350, 0.498)
O (0.655, 0.147, 0.645)
O (0.666, 0.497, 0.851)
O (0.744, 0.479, 0.309)
O (0.746, 0.697, 0.173)
O (0.746, 0.830, 0.529)
O (0.893, 0.072, 0.825)
O (0.893, 0.759, 0.940)
O (0.908, 0.207, 0.283)